Record 1
ZrMnO3 | PBE with a Hubbard U | relaxed

Summary:
Piezoelectric modulus e_max = 1.14 C/m²
Total DFT energy (no corrections) = -8.823 eV/atom
Energy of formation from the pure elements = -295 kJ per mole of atoms
Space-group type = R3c, No. 161

abc: 5.472 5.812 5.472
angles: 118.08 120.00 61.92
Positions (direct):
O 0.920 0.309 0.814
O 0.186 0.309 0.415
O 0.420 0.809 0.915
O 0.585 0.309 0.080
O 0.686 0.809 0.579
O 0.085 0.809 0.314
Zr 0.796 0.611 0.204
Zr 0.296 0.112 0.704
Mn 0.512 0.464 0.488
Mn 0.012 0.963 0.987



Record 2
ZrMnO3 | PBE with a Hubbard U | relaxed

Summary:
Total DFT energy (no corrections) = -8.819 eV/atom
Energy of formation from the pure elements = -295 kJ per mole of atoms
Space-group type = R-3, No. 148

abc: 5.496 5.496 5.824
angles: 90.00 61.84 60.00
Positions (direct):
O 0.813 0.955 0.740
O 0.786 0.768 0.260
O 0.492 0.553 0.740
O 0.187 0.045 0.260
O 0.214 0.232 0.740
O 0.508 0.447 0.260
Mn 0.282 0.359 0.077
Mn 0.718 0.641 0.922
Zr 0.290 0.855 0.565
Zr 0.710 0.145 0.435



Record 3
Na5MoNO4 | PBE with a Hubbard U | relaxed

Summary:
Total DFT energy (no corrections) = -5.159 eV/atom
Energy of formation from the pure elements = -150 kJ per mole of atoms
Space-group type = Cmcm, No. 63

abc: 5.773 5.773 10.841
angles: 90.00 90.00 119.16
Positions (direct):
O 0.559 0.835 0.627
O 0.165 0.441 0.373
O 0.165 0.441 0.127
O 0.835 0.559 0.873
O 0.441 0.165 0.127
O 0.559 0.835 0.873
O 0.441 0.165 0.373
O 0.835 0.559 0.627
Na 0.545 0.169 0.750
Na 0.831 0.455 0.250
Na 0.169 0.545 0.750
Na 0.455 0.831 0.250
Na 0.500 0.500 0.500
Na 0.191 0.809 0.000
Na 0.809 0.191 0.000
Na 0.191 0.809 0.500
Na 0.809 0.191 0.500
Na 0.500 0.500 0.000
Mo 0.792 0.792 0.750
Mo 0.208 0.208 0.250
N 0.093 0.093 0.750
N 0.907 0.907 0.250



Record 4
Na3MoNO3 | PBE with a Hubbard U | relaxed

Summary:
Total DFT energy (no corrections) = -5.664 eV/atom
Energy of formation from the pure elements = -152 kJ per mole of atoms
Space-group type = Pmn2_1, No. 31

abc: 5.708 6.294 7.356
angles: 90.00 90.00 90.00
Positions (direct):
Na 0.010 0.672 0.245
Na 0.012 0.165 0.500
Na 0.010 0.672 0.755
Na 0.510 0.328 0.255
Na 0.510 0.328 0.745
Na 0.512 0.835 0.000
O 0.103 0.314 0.209
O 0.601 0.110 0.500
O 0.603 0.686 0.291
O 0.101 0.890 0.000
O 0.603 0.686 0.709
O 0.103 0.314 0.791
N 0.696 0.176 0.000
N 0.196 0.824 0.500
Mo 0.503 0.827 0.500
Mo 0.003 0.173 0.000



Record 5
Na4MoN2O2 | PBE with a Hubbard U | relaxed

Summary:
Total DFT energy (no corrections) = -5.259 eV/atom
Energy of formation from the pure elements = -99 kJ per mole of atoms
Space-group type = P-1, No. 2

abc: 5.917 5.951 8.985
angles: 82.81 71.52 68.88
Positions (direct):
Na 0.613 0.724 0.184
Na 0.240 0.762 0.985
Na 0.387 0.276 0.816
Na 0.056 0.758 0.402
Na 0.479 0.740 0.557
Na 0.944 0.242 0.598
Na 0.760 0.238 0.015
Na 0.521 0.260 0.443
Mo 0.158 0.280 0.238
Mo 0.842 0.720 0.762
N 0.295 0.038 0.362
N 0.843 0.457 0.354
N 0.157 0.543 0.646
N 0.705 0.962 0.638
O 0.360 0.484 0.186
O 0.640 0.516 0.814
O 0.850 0.844 0.945
O 0.150 0.156 0.055



Record 6
Mo3PW9N3O40 | PBE with a Hubbard U | relaxed

Summary:
Total DFT energy (no corrections) = -6.971 eV/atom
Energy of formation from the pure elements = -155 kJ per mole of atoms
Space-group type = Pmn2_1, No. 31

abc: 13.157 14.086 14.635
angles: 90.00 90.00 90.00
Positions (direct):
O 0.192 0.701 0.720
O 0.352 0.878 0.465
O 0.735 0.000 0.015
O 0.352 0.122 0.465
O 0.882 0.820 0.706
O 0.104 0.598 0.567
O 0.433 0.123 0.857
O 0.884 0.090 0.881
O 0.568 0.253 0.825
O 0.539 0.322 0.169
O 0.116 0.410 0.381
O 0.648 0.622 0.965
O 0.275 0.293 0.540
O 0.725 0.793 0.040
O 0.882 0.180 0.706
O 0.808 0.799 0.220
O 0.118 0.320 0.206
O 0.567 0.623 0.357
O 0.208 0.500 0.252
O 0.544 0.000 0.999
O 0.461 0.822 0.669
O 0.896 0.902 0.067
O 0.651 0.910 0.886
O 0.725 0.207 0.040
O 0.345 0.000 0.974
O 0.301 0.198 0.996
O 0.238 0.744 0.356
O 0.330 0.354 0.214
O 0.330 0.646 0.214
O 0.528 0.000 0.741
O 0.521 0.214 0.994
O 0.630 0.905 0.165
O 0.699 0.302 0.496
O 0.104 0.402 0.567
O 0.349 0.590 0.386
O 0.479 0.714 0.494
O 0.567 0.377 0.357
O 0.569 0.595 0.616
O 0.651 0.090 0.886
O 0.539 0.678 0.169
O 0.896 0.098 0.067
O 0.192 0.299 0.720
O 0.431 0.095 0.116
O 0.655 0.500 0.474
O 0.461 0.178 0.669
O 0.948 0.500 0.475
O 0.792 0.000 0.752
O 0.349 0.410 0.386
O 0.433 0.877 0.857
O 0.514 0.500 0.781
O 0.472 0.500 0.241
O 0.200 0.500 0.693
O 0.568 0.747 0.825
O 0.275 0.707 0.540
O 0.479 0.286 0.494
O 0.808 0.201 0.220
O 0.370 0.405 0.665
O 0.648 0.378 0.965
O 0.630 0.095 0.165
O 0.884 0.910 0.881
O 0.670 0.854 0.714
O 0.432 0.753 0.325
O 0.301 0.802 0.996
O 0.699 0.698 0.496
O 0.432 0.247 0.325
O 0.118 0.680 0.206
O 0.569 0.405 0.616
O 0.431 0.905 0.116
O 0.670 0.146 0.714
O 0.762 0.244 0.856
O 0.456 0.500 0.499
O 0.800 0.000 0.193
O 0.265 0.500 0.515
O 0.116 0.590 0.381
O 0.238 0.256 0.356
O 0.521 0.786 0.994
O 0.370 0.595 0.665
O 0.486 0.000 0.281
O 0.762 0.756 0.856
O 0.052 0.000 0.975
W 0.469 0.365 0.260
W 0.406 0.125 0.989
W 0.594 0.375 0.489
W 0.353 0.758 0.441
W 0.406 0.875 0.989
W 0.770 0.122 0.136
W 0.647 0.258 0.941
W 0.647 0.742 0.941
W 0.230 0.378 0.636
W 0.531 0.135 0.760
W 0.770 0.878 0.136
W 0.469 0.635 0.260
W 0.531 0.865 0.760
W 0.522 0.000 0.168
W 0.353 0.242 0.441
W 0.230 0.622 0.636
W 0.594 0.625 0.489
W 0.478 0.500 0.668
P 0.354 0.500 0.447
P 0.646 0.000 0.947
Mo 0.203 0.635 0.282
Mo 0.077 0.500 0.479
Mo 0.923 0.000 0.979
Mo 0.797 0.865 0.782
Mo 0.203 0.365 0.282
Mo 0.797 0.135 0.782
N 0.157 0.000 0.233
N 0.820 0.500 0.182
N 0.345 0.500 0.973
N 0.655 0.000 0.473
N 0.843 0.500 0.733
N 0.180 0.000 0.682



Record 7
Mo3SeN2O12 | PBE with a Hubbard U | relaxed

Summary:
Total DFT energy (no corrections) = -6.065 eV/atom
Energy of formation from the pure elements = -80 kJ per mole of atoms
Space-group type = P6_3, No. 173

abc: 7.313 7.313 14.102
angles: 90.00 90.00 120.00
Positions (direct):
O 0.131 0.873 0.298
O 0.886 0.761 0.114
O 0.373 0.205 0.475
O 0.127 0.258 0.298
O 0.627 0.795 0.975
O 0.873 0.742 0.798
O 0.538 0.092 0.634
O 0.554 0.462 0.634
O 0.761 0.875 0.614
O 0.446 0.538 0.134
O 0.875 0.114 0.114
O 0.742 0.869 0.298
O 0.092 0.554 0.134
O 0.239 0.125 0.114
O 0.168 0.373 0.975
O 0.258 0.131 0.798
O 0.795 0.168 0.475
O 0.125 0.886 0.614
O 0.114 0.239 0.614
O 0.205 0.832 0.975
O 0.908 0.446 0.634
O 0.832 0.627 0.475
O 0.869 0.127 0.798
O 0.462 0.908 0.134
Mo 0.851 0.658 0.595
Mo 0.806 0.149 0.595
Mo 0.658 0.806 0.095
Mo 0.342 0.194 0.595
Mo 0.194 0.851 0.095
Mo 0.149 0.342 0.095
Se 0.000 0.000 0.799
Se 0.000 0.000 0.299
N 0.333 0.667 0.771
N 0.667 0.333 0.271
N 0.667 0.333 0.899
N 0.333 0.667 0.399



Record 8
TeMo3N2O12 | PBE with a Hubbard U | relaxed

Summary:
Total DFT energy (no corrections) = -6.153 eV/atom
Energy of formation from the pure elements = -90 kJ per mole of atoms
Space-group type = P6_3, No. 173

abc: 7.481 7.481 11.743
angles: 90.00 90.00 120.00
Positions (direct):
Mo 0.682 0.797 0.383
Mo 0.203 0.885 0.383
Mo 0.115 0.318 0.383
Mo 0.885 0.682 0.883
Mo 0.797 0.115 0.883
Mo 0.318 0.203 0.883
N 0.667 0.333 0.213
N 0.667 0.333 0.598
N 0.333 0.667 0.098
N 0.333 0.667 0.713
O 0.446 0.901 0.383
O 0.256 0.124 0.723
O 0.280 0.151 0.383
O 0.720 0.849 0.883
O 0.871 0.720 0.383
O 0.554 0.099 0.883
O 0.869 0.744 0.723
O 0.455 0.554 0.383
O 0.868 0.743 0.043
O 0.876 0.131 0.723
O 0.131 0.256 0.223
O 0.129 0.280 0.883
O 0.257 0.125 0.043
O 0.545 0.446 0.883
O 0.151 0.871 0.883
O 0.125 0.868 0.543
O 0.875 0.132 0.043
O 0.132 0.257 0.543
O 0.849 0.129 0.383
O 0.124 0.869 0.223
O 0.099 0.545 0.383
O 0.901 0.455 0.883
O 0.743 0.875 0.543
O 0.744 0.876 0.223
Te 0.000 0.000 0.133
Te 0.000 0.000 0.633